# Li2CuPO4

A geometry-optimized Li2CuPO4 structure (PBE, Materials Project).

## Properties
Energy of formation from the pure elements, eV per atom: -2.30
Total magnetic moment, Bohr magnetons per cell: 0.00
Space-group type: Pnma

abc: 5.078 6.254 10.669
angles: 90.00 90.00 90.00
Positions (direct):
Li (0.177, 0.497, 0.093)
Li (0.323, 0.497, 0.593)
Li (0.323, 0.003, 0.593)
Li (0.177, 0.003, 0.093)
Li (0.677, 0.997, 0.407)
Li (0.823, 0.997, 0.907)
Li (0.823, 0.503, 0.907)
Li (0.677, 0.503, 0.407)
Cu (0.168, 0.750, 0.339)
Cu (0.332, 0.750, 0.839)
Cu (0.668, 0.250, 0.161)
Cu (0.832, 0.250, 0.661)
P (0.670, 0.750, 0.157)
P (0.830, 0.750, 0.657)
P (0.330, 0.250, 0.843)
P (0.170, 0.250, 0.343)
O (0.785, 0.547, 0.091)
O (0.715, 0.547, 0.591)
O (0.365, 0.750, 0.148)
O (0.744, 0.750, 0.798)
O (0.756, 0.750, 0.298)
O (0.135, 0.750, 0.648)
O (0.715, 0.953, 0.591)
O (0.785, 0.953, 0.091)
O (0.285, 0.047, 0.409)
O (0.215, 0.047, 0.909)
O (0.635, 0.250, 0.852)
O (0.865, 0.250, 0.352)
O (0.256, 0.250, 0.202)
O (0.244, 0.250, 0.702)
O (0.215, 0.453, 0.909)
O (0.285, 0.453, 0.409)